No. 1
Si2O3: optimized geometry, PBE.

Unit cell a=20.075 b=9.070 c=14.385 alpha=90.00 beta=130.59 gamma=90.00
Space group C2/c (No. 15)
One atom of each set of equivalent atoms:
1 Si 0.006 0.226 0.366 x8
2 Si 0.102 0.233 0.728 x8
3 Si 0.110 0.236 0.956 x8
4 Si 0.166 0.432 0.281 x8
5 Si 0.178 0.428 0.513 x8
6 O 0.000 0.182 0.250 x4
7 O 0.005 0.241 0.885 x8
8 O 0.077 0.335 0.181 x8
9 O 0.097 0.317 0.470 x8
10 O 0.124 0.196 0.858 x8
11 O 0.144 0.394 0.737 x8
12 O 0.150 0.402 0.015 x8
13 O 0.198 0.415 0.419 x8

***

No. 2
Si17O37: optimized geometry, PBE.

Unit cell a=24.540 b=14.011 c=12.416 alpha=90.00 beta=109.00 gamma=90.00
Space group C2/m (No. 12)
One atom of each set of equivalent atoms:
1 Si 0.004 0.114 0.372 x8
2 Si 0.115 0.195 0.775 x8
3 Si 0.131 0.187 0.402 x8
4 Si 0.178 0.295 0.630 x8
5 Si 0.184 0.000 0.802 x4
6 Si 0.188 0.291 0.997 x8
7 Si 0.194 0.291 0.255 x8
8 Si 0.201 0.000 0.445 x4
9 Si 0.217 0.500 0.316 x4
10 Si 0.222 0.500 0.957 x4
11 Si 0.228 0.500 0.703 x4
12 O 0.000 0.130 0.500 x4
13 O 0.003 0.000 0.659 x4
14 O 0.028 0.248 0.909 x8
15 O 0.046 0.178 0.721 x8
16 O 0.063 0.156 0.359 x8
17 O 0.071 0.500 0.916 x4
18 O 0.134 0.234 0.906 x8
19 O 0.135 0.275 0.703 x8
20 O 0.143 0.271 0.498 x8
21 O 0.145 0.094 0.767 x8
22 O 0.152 0.223 0.298 x8
23 O 0.167 0.094 0.463 x8
24 O 0.180 0.271 0.120 x8
25 O 0.180 0.403 0.271 x8
26 O 0.186 0.405 0.967 x8
27 O 0.192 0.408 0.640 x8
28 O 0.210 0.000 0.319 x4
29 O 0.216 0.000 0.939 x4
30 O 0.228 0.000 0.729 x4
31 O 0.236 0.500 0.454 x4
32 O 0.237 0.500 0.838 x4
33 O 0.238 0.233 0.678 x8
34 O 0.250 0.250 0.000 x4

***

No. 3
SiO4: optimized geometry, PBE.

Output
distance to the lowest polymorph of the same formula: 0.0 meV per atom

Unit cell a=4.996 b=5.083 c=10.745 alpha=100.11 beta=92.52 gamma=119.35
Space group P1 (No. 1)
One atom of each set of equivalent atoms:
1 Si 0.000 0.000 0.000 x1
2 Si 0.151 0.390 0.349 x1
3 Si 0.771 0.450 0.459 x1
4 O 0.095 0.383 0.177 x1
5 O 0.117 0.690 0.413 x1
6 O 0.161 0.430 0.721 x1
7 O 0.163 0.432 0.834 x1
8 O 0.315 0.325 0.105 x1
9 O 0.460 0.375 0.365 x1
10 O 0.708 0.398 0.612 x1
11 O 0.765 0.698 0.593 x1
12 O 0.796 0.104 0.109 x1
13 O 0.829 0.145 0.393 x1
14 O 0.926 0.660 0.988 x1
15 O 0.985 0.060 0.855 x1

***

No. 4
Sm5Si3O13: optimized geometry, PBE.

Unit cell a=9.6126 b=9.6126 c=6.9959 alpha=90.00 beta=90.00 gamma=120.00
Space group P6_3/m (No. 176)
One atom of each set of equivalent atoms:
1 Sm 0.0068 0.2390 0.2500 x6
2 Sm 0.3333 0.6667 0.0021 x4
3 Si 0.0278 0.3977 0.7500 x6
4 O 0.0000 0.0000 0.2500 x2
5 O 0.0921 0.3411 0.5635 x12
6 O 0.1229 0.5957 0.7500 x6
7 O 0.1681 0.6851 0.2500 x6

***

E_tot (computed, eV/cell): -689.21, -1630.07, -91.13, -342.47
Formation enthalpy at 0 K (computed, eV/atom): -2.165, -2.919, -1.161, -3.618